No. 1
r²SCAN Fe3O4, optimized geometry; E = -11.042 eV/atom; calculated formation energy = -1452 meV/atom; total magnetization = 14.00 μB per formula unit
1.0
6.009 0.000 0.000
0.000 8.111 0.000
0.000 0.000 3.008
Fe O
6 8
direct
0.000 0.000 0.000 Fe
0.250 0.250 0.500 Fe
0.250 0.750 0.500 Fe
0.500 0.500 0.000 Fe
0.750 0.250 0.500 Fe
0.750 0.750 0.500 Fe
0.000 0.248 0.000 O
0.000 0.752 0.000 O
0.226 0.000 0.500 O
0.274 0.500 0.500 O
0.500 0.252 0.000 O
0.500 0.748 0.000 O
0.726 0.500 0.500 O
0.774 0.000 0.500 O



No. 2
r²SCAN Fe3O4, optimized geometry; E = -11.145 eV/atom; calculated formation energy = -1555 meV/atom; total magnetization = 14.00 μB per formula unit
1.0
0.000 4.222 4.222
4.222 0.000 4.222
4.222 4.222 0.000
Fe O
6 8
direct
0.000 0.000 0.000 Fe
0.000 0.000 0.500 Fe
0.000 0.500 0.000 Fe
0.375 0.375 0.375 Fe
0.500 0.000 0.000 Fe
0.625 0.625 0.625 Fe
0.231 0.756 0.756 O
0.244 0.244 0.244 O
0.244 0.244 0.769 O
0.244 0.769 0.244 O
0.756 0.231 0.756 O
0.756 0.756 0.231 O
0.756 0.756 0.756 O
0.769 0.244 0.244 O



No. 3
r²SCAN FeO, optimized geometry; E = -11.444 eV/atom; calculated formation energy = -1251 meV/atom; total magnetization = 4.00 μB per formula unit
1.0
3.057 0.000 0.000
1.524 4.928 0.000
0.003 0.941 5.198
Fe O
4 4
direct
0.000 0.000 0.000 Fe
0.218 0.499 0.751 Fe
0.446 0.999 0.500 Fe
0.728 0.499 0.251 Fe
0.081 0.749 0.366 O
0.371 0.249 0.135 O
0.616 0.749 0.866 O
0.825 0.249 0.635 O



No. 4
r²SCAN Fe5O8, optimized geometry; E = -10.625 eV/atom; calculated formation energy = -1406 meV/atom; total magnetization = 14.00 μB per formula unit
1.0
2.829 1.633 4.724
-2.829 1.633 4.724
0.000 -3.266 4.724
Fe O
5 8
direct
0.000 0.500 0.500 Fe
0.121 0.121 0.121 Fe
0.500 0.000 0.500 Fe
0.500 0.500 0.000 Fe
0.879 0.879 0.879 Fe
0.248 0.248 0.720 O
0.248 0.720 0.248 O
0.260 0.260 0.260 O
0.280 0.752 0.752 O
0.720 0.248 0.248 O
0.740 0.740 0.740 O
0.752 0.280 0.752 O
0.752 0.752 0.280 O



No. 5
r²SCAN FeO, optimized geometry; E = -11.386 eV/atom; calculated formation energy = -1193 meV/atom; total magnetization = 0.00 μB per formula unit
1.0
1.019 2.302 -1.928
-5.063 0.837 -1.175
1.404 2.799 4.173
O Fe
4 4
direct
0.531 0.745 0.777 O
0.031 0.744 0.276 O
0.969 0.256 0.724 O
0.469 0.256 0.224 O
0.000 0.000 0.000 Fe
0.500 0.500 0.000 Fe
0.500 0.000 0.500 Fe
0.000 0.500 0.500 Fe



No. 6
r²SCAN FePO4, optimized geometry; E = -10.016 eV/atom; calculated formation energy = -2132 meV/atom; total magnetization = 5.00 μB per formula unit
1.0
5.257 0.000 0.000
2.114 4.874 0.000
0.419 1.725 6.072
Fe P O
2 2 8
direct
0.195 0.253 0.208 Fe
0.805 0.747 0.792 Fe
0.173 0.125 0.732 P
0.827 0.875 0.268 P
0.074 0.955 0.275 O
0.090 0.350 0.868 O
0.244 0.258 0.503 O
0.424 0.864 0.853 O
0.576 0.136 0.147 O
0.756 0.742 0.497 O
0.910 0.650 0.132 O
0.926 0.045 0.725 O



No. 7
r²SCAN FePO4, optimized geometry; E = -9.987 eV/atom; calculated formation energy = -2102 meV/atom; total magnetization = 5.00 μB per formula unit
1.0
-4.463 -0.706 2.798
-0.133 -3.568 3.934
6.902 16.463 15.164
Fe O P
6 24 6
direct
0.500 0.000 0.750 Fe
0.500 0.000 0.250 Fe
0.500 0.500 0.917 Fe
0.000 0.500 0.083 Fe
0.500 0.500 0.417 Fe
0.000 0.500 0.583 Fe
0.764 0.813 0.037 O
0.423 0.813 0.963 O
0.577 0.236 0.204 O
0.187 0.236 0.296 O
0.187 0.236 0.796 O
0.577 0.187 0.963 O
0.764 0.423 0.129 O
0.813 0.764 0.296 O
0.813 0.423 0.871 O
0.187 0.577 0.871 O
0.236 0.577 0.629 O
0.187 0.577 0.371 O
0.577 0.236 0.704 O
0.236 0.187 0.037 O
0.764 0.813 0.537 O
0.236 0.577 0.129 O
0.423 0.813 0.463 O
0.577 0.187 0.463 O
0.813 0.423 0.371 O
0.813 0.764 0.796 O
0.236 0.187 0.537 O
0.764 0.423 0.629 O
0.423 0.764 0.704 O
0.423 0.764 0.204 O
0.500 0.500 0.167 P
0.000 0.500 0.833 P
0.000 0.500 0.333 P
0.500 0.500 0.667 P
0.500 0.000 0.500 P
0.500 0.000 0.000 P



No. 8
r²SCAN FePO4, optimized geometry; E = -10.007 eV/atom; calculated formation energy = -2122 meV/atom; total magnetization = 5.00 μB per formula unit
1.0
5.049 0.000 0.000
-2.525 4.373 0.000
0.000 0.000 11.272
Fe P O
3 3 12
direct
0.000 0.458 0.167 Fe
0.458 0.000 0.833 Fe
0.542 0.542 0.500 Fe
0.000 0.457 0.667 P
0.457 0.000 0.333 P
0.543 0.543 0.000 P
0.099 0.683 0.770 O
0.148 0.737 0.292 O
0.263 0.411 0.625 O
0.317 0.416 0.104 O
0.411 0.263 0.375 O
0.416 0.317 0.896 O
0.584 0.901 0.437 O
0.589 0.852 0.959 O
0.683 0.099 0.230 O
0.737 0.148 0.708 O
0.852 0.589 0.041 O
0.901 0.584 0.563 O



No. 9
r²SCAN Fe2PO5, optimized geometry; E = -10.445 eV/atom; distance to the lowest polymorph of the same formula = 49.8 meV/atom; calculated formation energy = -1983 meV/atom; total magnetization = 9.00 μB per formula unit
1.0
7.380 0.000 0.000
0.000 6.484 0.000
0.000 0.000 7.421
Fe P O
8 4 20
direct
0.000 0.000 0.000 Fe
0.000 0.500 0.000 Fe
0.143 0.250 0.278 Fe
0.357 0.750 0.778 Fe
0.500 0.000 0.500 Fe
0.500 0.500 0.500 Fe
0.643 0.250 0.222 Fe
0.857 0.750 0.722 Fe
0.125 0.750 0.363 P
0.375 0.250 0.863 P
0.625 0.750 0.137 P
0.875 0.250 0.637 P
0.039 0.250 0.517 O
0.104 0.750 0.864 O
0.129 0.560 0.240 O
0.129 0.940 0.240 O
0.198 0.250 0.977 O
0.302 0.750 0.477 O
0.371 0.060 0.740 O
0.371 0.440 0.740 O
0.396 0.250 0.364 O
0.461 0.750 0.017 O
0.539 0.250 0.983 O
0.604 0.750 0.636 O
0.629 0.560 0.260 O
0.629 0.940 0.260 O
0.698 0.250 0.523 O
0.802 0.750 0.023 O
0.871 0.060 0.760 O
0.871 0.440 0.760 O
0.896 0.250 0.136 O
0.961 0.750 0.483 O



No. 10
r²SCAN FePO4, optimized geometry; E = -9.999 eV/atom; calculated formation energy = -2115 meV/atom; total magnetization = 0.00 μB per formula unit
1.0
-4.697 -0.259 2.364
0.881 -8.839 1.340
1.493 3.061 8.303
O P Fe
16 4 4
direct
0.587 0.171 0.486 O
0.504 0.647 0.879 O
0.596 0.840 0.708 O
0.337 0.921 0.985 O
0.345 0.589 0.208 O
0.253 0.397 0.379 O
0.564 0.592 0.428 O
0.314 0.343 0.928 O
0.096 0.340 0.708 O
0.845 0.089 0.208 O
0.814 0.843 0.928 O
0.753 0.897 0.379 O
0.837 0.421 0.985 O
0.004 0.147 0.879 O
0.087 0.671 0.486 O
0.064 0.092 0.428 O
0.563 0.813 0.875 P
0.812 0.063 0.375 P
0.063 0.313 0.875 P
0.312 0.563 0.375 P
0.250 0.250 0.500 Fe
0.500 0.500 0.000 Fe
0.750 0.750 0.500 Fe
0.000 0.000 0.000 Fe



No. 11
r²SCAN FePO4, optimized geometry; E = -9.996 eV/atom; calculated formation energy = -2112 meV/atom; total magnetization = 5.00 μB per formula unit
1.0
10.331 0.000 0.000
0.000 5.144 0.000
0.000 0.000 7.102
Fe P O
4 4 16
direct
0.153 0.190 0.000 Fe
0.347 0.690 0.500 Fe
0.653 0.310 0.000 Fe
0.847 0.810 0.500 Fe
0.095 0.689 0.751 P
0.405 0.189 0.251 P
0.595 0.811 0.751 P
0.905 0.311 0.251 P
0.047 0.256 0.206 O
0.112 0.399 0.796 O
0.136 0.846 0.924 O
0.178 0.759 0.579 O
0.322 0.259 0.079 O
0.364 0.346 0.424 O
0.388 0.899 0.296 O
0.453 0.756 0.706 O
0.547 0.244 0.206 O
0.612 0.101 0.796 O
0.636 0.654 0.924 O
0.678 0.741 0.579 O
0.822 0.241 0.079 O
0.864 0.154 0.424 O
0.888 0.601 0.296 O
0.953 0.744 0.706 O



No. 12
r²SCAN Fe2PO5, optimized geometry; E = -10.495 eV/atom; distance to the lowest polymorph of the same formula = 0.0 meV/atom; calculated formation energy = -2033 meV/atom; total magnetization = 0.00 μB per formula unit
1.0
3.774 -3.773 0.000
3.774 3.773 0.000
-3.770 0.000 6.246
Fe P O
4 2 10
direct
0.004 0.996 0.500 Fe
0.487 0.995 0.500 Fe
0.995 0.487 0.000 Fe
0.996 0.004 0.000 Fe
0.374 0.623 0.756 P
0.623 0.374 0.256 P
0.119 0.870 0.249 O
0.202 0.691 0.891 O
0.304 0.791 0.618 O
0.306 0.317 0.620 O
0.317 0.306 0.120 O
0.680 0.690 0.889 O
0.690 0.680 0.389 O
0.691 0.202 0.391 O
0.791 0.304 0.118 O
0.870 0.119 0.749 O



No. 13
r²SCAN Fe3P4O14, optimized geometry; E = -9.931 eV/atom; calculated formation energy = -2176 meV/atom; total magnetization = 14.00 μB per formula unit
1.0
8.988 0.000 0.000
0.000 12.151 0.000
0.000 0.000 10.178
Fe P O
12 16 56
direct
0.247 0.250 0.118 Fe
0.250 0.015 0.120 Fe
0.250 0.485 0.120 Fe
0.250 0.515 0.620 Fe
0.250 0.985 0.620 Fe
0.253 0.750 0.618 Fe
0.747 0.250 0.382 Fe
0.750 0.015 0.380 Fe
0.750 0.485 0.380 Fe
0.750 0.515 0.880 Fe
0.750 0.985 0.880 Fe
0.753 0.750 0.882 Fe
0.072 0.127 0.864 P
0.072 0.373 0.864 P
0.087 0.134 0.382 P
0.087 0.366 0.382 P
0.413 0.634 0.882 P
0.413 0.866 0.882 P
0.428 0.627 0.364 P
0.428 0.873 0.364 P
0.572 0.127 0.636 P
0.572 0.373 0.636 P
0.587 0.134 0.118 P
0.587 0.366 0.118 P
0.913 0.634 0.618 P
0.913 0.866 0.618 P
0.928 0.627 0.136 P
0.928 0.873 0.136 P
0.044 0.250 0.815 O
0.078 0.578 0.107 O
0.078 0.922 0.107 O
0.082 0.636 0.627 O
0.082 0.864 0.627 O
0.133 0.250 0.444 O
0.147 0.047 0.470 O
0.147 0.453 0.470 O
0.153 0.070 0.755 O
0.153 0.430 0.755 O
0.157 0.132 0.245 O
0.157 0.368 0.245 O
0.165 0.136 0.989 O
0.165 0.364 0.989 O
0.335 0.636 0.489 O
0.335 0.864 0.489 O
0.343 0.632 0.745 O
0.343 0.868 0.745 O
0.347 0.570 0.255 O
0.347 0.930 0.255 O
0.353 0.547 0.970 O
0.353 0.953 0.970 O
0.367 0.750 0.944 O
0.418 0.136 0.127 O
0.418 0.364 0.127 O
0.422 0.078 0.607 O
0.422 0.422 0.607 O
0.456 0.750 0.315 O
0.544 0.250 0.685 O
0.578 0.578 0.393 O
0.578 0.922 0.393 O
0.582 0.636 0.873 O
0.582 0.864 0.873 O
0.633 0.250 0.056 O
0.647 0.047 0.030 O
0.647 0.453 0.030 O
0.653 0.070 0.745 O
0.653 0.430 0.745 O
0.657 0.132 0.255 O
0.657 0.368 0.255 O
0.665 0.136 0.511 O
0.665 0.364 0.511 O
0.835 0.636 0.011 O
0.835 0.864 0.011 O
0.843 0.632 0.755 O
0.843 0.868 0.755 O
0.847 0.570 0.245 O
0.847 0.930 0.245 O
0.853 0.547 0.530 O
0.853 0.953 0.530 O
0.867 0.750 0.556 O
0.918 0.136 0.373 O
0.918 0.364 0.373 O
0.922 0.078 0.893 O
0.922 0.422 0.893 O
0.956 0.750 0.185 O



No. 14
r²SCAN FePO4, optimized geometry; E = -9.998 eV/atom; calculated formation energy = -2114 meV/atom; total magnetization = 0.00 μB per formula unit
1.0
8.572 0.000 0.000
0.000 5.262 0.000
-2.599 0.000 8.158
Fe P O
4 4 16
direct
0.000 0.193 0.000 Fe
0.000 0.807 0.500 Fe
0.500 0.304 0.347 Fe
0.500 0.696 0.847 Fe
0.372 0.197 0.971 P
0.372 0.803 0.471 P
0.871 0.307 0.624 P
0.871 0.693 0.124 P
0.207 0.272 0.991 O
0.207 0.728 0.491 O
0.362 0.077 0.409 O
0.362 0.923 0.909 O
0.412 0.372 0.846 O
0.412 0.628 0.346 O
0.505 0.224 0.136 O
0.505 0.776 0.636 O
0.706 0.277 0.493 O
0.706 0.723 0.993 O
0.853 0.231 0.790 O
0.853 0.769 0.290 O
0.931 0.418 0.133 O
0.931 0.582 0.633 O
0.997 0.134 0.581 O
0.997 0.866 0.081 O